## NaCaB5H8O13 (PBE)

Data for a relaxed NaCaB5H8O13 crystal.

Summary:
- Symmetry: No. 14

a b c (Å): 6.5504 13.4101 11.6425
angles (deg): 90.00 93.22 90.00
Sites, in units of the cell vectors:
Na 0.1620 0.0170 0.1451
Na 0.1620 0.4830 0.6451
Na 0.8380 0.5170 0.3549
Na 0.8380 0.9830 0.8549
Ca 0.2891 0.1042 0.4192
Ca 0.2891 0.3958 0.9192
Ca 0.7109 0.6042 0.0808
Ca 0.7109 0.8958 0.5808
B 0.1224 0.0412 0.6825
B 0.1224 0.4588 0.1825
B 0.1856 0.6274 0.9229
B 0.1856 0.8726 0.4229
B 0.3397 0.7439 0.7846
B 0.3397 0.7561 0.2846
B 0.3802 0.5672 0.2806
B 0.3802 0.9328 0.7806
B 0.4845 0.0826 0.6592
B 0.4845 0.4174 0.1592
B 0.5155 0.5826 0.8408
B 0.5155 0.9174 0.3408
B 0.6198 0.0672 0.2194
B 0.6198 0.4328 0.7194
B 0.6603 0.2439 0.7154
B 0.6603 0.2561 0.2154
B 0.8144 0.1274 0.5771
B 0.8144 0.3726 0.0771
B 0.8776 0.5412 0.8175
B 0.8776 0.9588 0.3175
H 0.0337 0.2116 0.2043
H 0.0337 0.2884 0.7043
H 0.0776 0.1510 0.9488
H 0.0776 0.3490 0.4488
H 0.1216 0.6722 0.4878
H 0.1216 0.8278 0.9878
H 0.1749 0.6508 0.0946
H 0.1749 0.8492 0.5946
H 0.2705 0.2328 0.2161
H 0.2705 0.2672 0.7161
H 0.3905 0.5386 0.4535
H 0.3905 0.9614 0.9535
H 0.4104 0.1910 0.8719
H 0.4104 0.3090 0.3719
H 0.4209 0.1813 0.0076
H 0.4209 0.3187 0.5076
H 0.5791 0.6813 0.4924
H 0.5791 0.8187 0.9924
H 0.5896 0.6910 0.6281
H 0.5896 0.8090 0.1281
H 0.6095 0.0386 0.0465
H 0.6095 0.4614 0.5465
H 0.7295 0.7328 0.2839
H 0.7295 0.7672 0.7839
H 0.8251 0.1508 0.4054
H 0.8251 0.3492 0.9054
H 0.8784 0.1722 0.0122
H 0.8784 0.3278 0.5122
H 0.9224 0.6510 0.5512
H 0.9224 0.8490 0.0512
H 0.9663 0.7116 0.2957
H 0.9663 0.7884 0.7957
O 0.0486 0.6188 0.5268
O 0.0486 0.8812 0.0268
O 0.0769 0.6374 0.0286
O 0.0769 0.8626 0.5286
O 0.0828 0.5523 0.8439
O 0.0828 0.9477 0.3439
O 0.1672 0.1823 0.2324
O 0.1672 0.3177 0.7324
O 0.1792 0.5173 0.2764
O 0.1792 0.9827 0.7764
O 0.1888 0.7280 0.8607
O 0.1888 0.7720 0.3607
O 0.2649 0.0882 0.6190
O 0.2649 0.4118 0.1190
O 0.3425 0.2132 0.9420
O 0.3425 0.2868 0.4420
O 0.3608 0.6676 0.2257
O 0.3608 0.8324 0.7257
O 0.3966 0.5921 0.9438
O 0.3966 0.9079 0.4438
O 0.4633 0.5814 0.4028
O 0.4633 0.9186 0.9028
O 0.4704 0.0115 0.2824
O 0.4704 0.4885 0.7824
O 0.4797 0.6704 0.7619
O 0.4797 0.8296 0.2619
O 0.5203 0.1704 0.7381
O 0.5203 0.3296 0.2381
O 0.5296 0.5115 0.2176
O 0.5296 0.9885 0.7176
O 0.5367 0.0814 0.0972
O 0.5367 0.4186 0.5972
O 0.6034 0.0921 0.5562
O 0.6034 0.4079 0.0562
O 0.6392 0.1676 0.2743
O 0.6392 0.3324 0.7743
O 0.6575 0.7132 0.5580
O 0.6575 0.7868 0.0580
O 0.7351 0.5882 0.8810
O 0.7351 0.9118 0.3810
O 0.8112 0.2280 0.6393
O 0.8112 0.2720 0.1393
O 0.8208 0.0173 0.2236
O 0.8208 0.4827 0.7236
O 0.8328 0.6823 0.2676
O 0.8328 0.8177 0.7676
O 0.9172 0.0523 0.6561
O 0.9172 0.4477 0.1561
O 0.9231 0.1374 0.4714
O 0.9231 0.3626 0.9714
O 0.9514 0.1188 0.9732
O 0.9514 0.3812 0.4732


## NaNb3ZnSi3S3O24 (PBE)

Data for a relaxed NaNb3ZnSi3S3O24 crystal.

Summary:
- Symmetry: No. 1

a b c (Å): 8.8685 8.8778 22.9833
angles (deg): 89.97 89.70 60.09
Sites, in units of the cell vectors:
Na 0.0000 0.0000 0.0000
Na 0.0188 0.9753 0.5031
Na 0.3464 0.3145 0.8524
Nb 0.0059 0.9967 0.6527
Nb 0.3326 0.3144 0.1951
Nb 0.3344 0.3188 0.6946
Nb 0.3441 0.3273 0.4875
Nb 0.6651 0.6529 0.5366
Nb 0.6782 0.6351 0.8222
Nb 0.6780 0.6467 0.3198
Nb 0.6889 0.6395 0.0332
Nb 0.9978 0.9816 0.1532
Zn 0.0311 0.9580 0.3643
Zn 0.3621 0.2992 0.9894
Zn 0.9990 0.0136 0.8653
Si 0.0158 0.2684 0.7626
Si 0.0156 0.6960 0.2626
Si 0.0555 0.6077 0.5919
Si 0.0654 0.3078 0.0880
Si 0.3399 0.0383 0.5906
Si 0.3830 0.6596 0.4265
Si 0.6223 0.0334 0.0892
Si 0.6267 0.3147 0.5934
Si 0.6689 0.3521 0.9292
S 0.2944 0.6980 0.7615
S 0.2984 0.9850 0.2609
S 0.3423 0.6072 0.0925
S 0.3907 0.9338 0.9257
S 0.6759 0.9373 0.4268
S 0.7201 0.9858 0.7607
S 0.7221 0.2697 0.2611
S 0.9624 0.3634 0.4260
S 0.9637 0.6526 0.9249
O 0.0350 0.1458 0.1072
O 0.0371 0.7953 0.6047
O 0.0481 0.7759 0.3185
O 0.0596 0.1486 0.8172
O 0.1281 0.4914 0.9276
O 0.1352 0.3506 0.4314
O 0.1457 0.4839 0.6487
O 0.1495 0.3427 0.1485
O 0.1749 0.0075 0.6020
O 0.1786 0.2790 0.0321
O 0.1797 0.3043 0.7507
O 0.1807 0.5038 0.2451
O 0.1824 0.5159 0.5350
O 0.1896 0.7691 0.8135
O 0.1906 0.7888 0.1043
O 0.1935 0.0225 0.3131
O 0.1972 0.8314 0.4270
O 0.2148 0.8026 0.7081
O 0.2236 0.9534 0.2086
O 0.2246 0.9355 0.9231
O 0.3006 0.5445 0.0407
O 0.3065 0.1570 0.5338
O 0.3270 0.1363 0.2508
O 0.3273 0.5167 0.7521
O 0.3704 0.1241 0.6490
O 0.3695 0.4996 0.1455
O 0.3749 0.1055 0.9260
O 0.3763 0.4778 0.4350
O 0.4715 0.6833 0.7672
O 0.4785 0.8283 0.2686
O 0.4849 0.3602 0.9274
O 0.4849 0.8307 0.9782
O 0.4960 0.6687 0.4820
O 0.4974 0.6289 0.0869
O 0.4996 0.8432 0.8721
O 0.5102 0.6309 0.3689
O 0.5109 0.1061 0.4321
O 0.5111 0.1267 0.1494
O 0.5105 0.3479 0.6508
O 0.5117 0.8472 0.5824
O 0.5399 0.2820 0.5354
O 0.5435 0.1431 0.7515
O 0.5460 0.3000 0.2493
O 0.5671 0.1535 0.0342
O 0.6476 0.8389 0.0810
O 0.6553 0.4794 0.5820
O 0.6560 0.8490 0.3735
O 0.6603 0.4800 0.8704
O 0.6881 0.4697 0.9829
O 0.6971 0.8318 0.7668
O 0.7019 0.8275 0.4785
O 0.7068 0.4484 0.2675
O 0.7963 0.0152 0.8122
O 0.7976 0.1685 0.3130
O 0.8192 0.1427 0.6009
O 0.8240 0.9994 0.1050
O 0.8245 0.9647 0.4216
O 0.8288 0.9584 0.7070
O 0.8348 0.1926 0.2081
O 0.8424 0.4669 0.7701
O 0.8428 0.6702 0.2724
O 0.8486 0.1714 0.9266
O 0.8553 0.4511 0.4777
O 0.8547 0.6752 0.9789
O 0.8661 0.6391 0.8725
O 0.8680 0.4816 0.0823
O 0.8703 0.6248 0.5771
O 0.8796 0.4750 0.3724
O 0.9757 0.1942 0.4186
O 0.9762 0.8097 0.9199
O 0.9836 0.8193 0.2043
O 0.9850 0.1777 0.7032


## CsAgPSe3 (PBE)

Data for a relaxed CsAgPSe3 crystal.

Summary:
- Symmetry: No. 14

a b c (Å): 6.9652 12.7433 10.5668
angles (deg): 90.00 123.99 90.00
Sites, in units of the cell vectors:
Cs 0.2365 0.1688 0.4847
Cs 0.2365 0.3312 0.9847
Cs 0.7635 0.6688 0.0153
Cs 0.7635 0.8312 0.5153
Ag 0.1822 0.5590 0.6385
Ag 0.1822 0.9410 0.1385
Ag 0.8178 0.0590 0.8615
Ag 0.8178 0.4410 0.3615
P 0.3501 0.5399 0.3877
P 0.3501 0.9601 0.8877
P 0.6499 0.0399 0.1123
P 0.6499 0.4601 0.6123
Se 0.0729 0.0796 0.7550
Se 0.0729 0.4204 0.2550
Se 0.2411 0.6778 0.4590
Se 0.2411 0.8222 0.9590
Se 0.4927 0.5888 0.2565
Se 0.4927 0.9112 0.7565
Se 0.5073 0.0888 0.2435
Se 0.5073 0.4112 0.7435
Se 0.7589 0.1778 0.0410
Se 0.7589 0.3222 0.5410
Se 0.9271 0.5796 0.7450
Se 0.9271 0.9204 0.2450


## Ba4Pt (PBE)

Data for a relaxed Ba4Pt crystal.

Summary:
- Symmetry: No. 227

a b c (Å): 9.5965 9.5965 9.5965
angles (deg): 60.00 60.00 60.00
Sites, in units of the cell vectors:
Ba 0.2457 0.7514 0.7514
Ba 0.2486 0.2486 0.2486
Ba 0.2486 0.2486 0.7543
Ba 0.2486 0.7543 0.2486
Ba 0.7514 0.2457 0.7514
Ba 0.7514 0.7514 0.2457
Ba 0.7514 0.7514 0.7514
Ba 0.7543 0.2486 0.2486
Pt 0.3750 0.3750 0.3750
Pt 0.6250 0.6250 0.6250


## Nd4Ga2O9 (PBE)

Data for a relaxed Nd4Ga2O9 crystal.

Summary:
- Symmetry: No. 14

a b c (Å): 7.8179 11.0777 11.6517
angles (deg): 90.00 109.00 90.00
Sites, in units of the cell vectors:
Nd 0.0223 0.1059 0.2833
Nd 0.0223 0.3941 0.7833
Nd 0.1641 0.6233 0.5682
Nd 0.1641 0.8767 0.0682
Nd 0.3349 0.1200 0.9111
Nd 0.3349 0.3800 0.4111
Nd 0.4766 0.5911 0.1939
Nd 0.4766 0.9089 0.6939
Nd 0.5234 0.0911 0.3061
Nd 0.5234 0.4089 0.8061
Nd 0.6651 0.6200 0.5889
Nd 0.6651 0.8800 0.0889
Nd 0.8359 0.1233 0.9318
Nd 0.8359 0.3767 0.4318
Nd 0.9777 0.6059 0.2167
Nd 0.9777 0.8941 0.7167
Ga 0.1561 0.1828 0.6142
Ga 0.1561 0.3172 0.1142
Ga 0.2839 0.6855 0.8738
Ga 0.2839 0.8145 0.3738
Ga 0.7161 0.1855 0.6262
Ga 0.7161 0.3145 0.1262
Ga 0.8439 0.6828 0.8858
Ga 0.8439 0.8172 0.3858
O 0.0664 0.0096 0.8959
O 0.0664 0.4904 0.3959
O 0.0671 0.7492 0.8868
O 0.0671 0.7508 0.3868
O 0.1390 0.2298 0.4598
O 0.1390 0.2702 0.9598
O 0.2030 0.0274 0.6754
O 0.2030 0.4726 0.1754
O 0.2657 0.7290 0.2317
O 0.2657 0.7710 0.7317
O 0.2838 0.5243 0.8375
O 0.2838 0.9757 0.3375
O 0.2860 0.2270 0.2493
O 0.2860 0.2730 0.7493
O 0.4221 0.0059 0.1053
O 0.4221 0.4941 0.6053
O 0.4260 0.7356 0.0250
O 0.4260 0.7644 0.5250
O 0.5740 0.2356 0.4750
O 0.5740 0.2644 0.9750
O 0.5779 0.5059 0.3947
O 0.5779 0.9941 0.8947
O 0.7140 0.7270 0.2507
O 0.7140 0.7730 0.7507
O 0.7162 0.0243 0.6625
O 0.7162 0.4757 0.1625
O 0.7343 0.2290 0.2683
O 0.7343 0.2710 0.7683
O 0.7970 0.5274 0.8246
O 0.7970 0.9726 0.3246
O 0.8610 0.7298 0.0402
O 0.8610 0.7702 0.5402
O 0.9329 0.2492 0.6132
O 0.9329 0.2508 0.1132
O 0.9336 0.5096 0.6041
O 0.9336 0.9904 0.1041


## MgCuH4O2F2 (PBE)

Data for a relaxed MgCuH4O2F2 crystal.

Summary:
- Symmetry: No. 12

a b c (Å): 6.4865 6.4865 3.0515
angles (deg): 102.96 102.96 98.85
Sites, in units of the cell vectors:
Mg 0.0000 0.0000 0.0000
Cu 0.5000 0.5000 0.5000
H 0.1453 0.6497 0.4024
H 0.3503 0.8547 0.5976
H 0.6497 0.1453 0.4024
H 0.8547 0.3503 0.5976
O 0.3059 0.6941 0.5000
O 0.6941 0.3059 0.5000
F 0.1580 0.1580 0.6499
F 0.8420 0.8420 0.3501


## LiTaRh2 (PBE)

Data for a relaxed LiTaRh2 crystal.

Summary:
- Symmetry: No. 225

a b c (Å): 4.3454 4.3454 4.3454
angles (deg): 60.00 60.00 60.00
Sites, in units of the cell vectors:
Li 0.0000 0.0000 0.0000
Ta 0.5000 0.5000 0.5000
Rh 0.2500 0.2500 0.2500
Rh 0.7500 0.7500 0.7500


no.,energy relative to the elements (meV/atom)
1,-2221
2,-2541
3,-753
4,-188
5,-3328
6,-1398
7,-549